Here is crystalline Sr2Ca49Mo12N56O3 at its relaxed geometry from the Materials Project database. Energies are from GGA+U.

Lattice parameters (Å, degrees): 10.634 12.444 16.013 102.53 95.36 110.08
Fractional coordinates of all 122 atoms:
Sr  0.569  0.140  0.659
Sr  0.431  0.860  0.341
Ca  0.512  0.450  0.200
Ca  0.488  0.550  0.800
Ca  0.590  0.198  0.255
Ca  0.410  0.802  0.745
Ca  0.181  0.521  0.671
Ca  0.819  0.479  0.329
Ca  0.255  0.273  0.706
Ca  0.745  0.727  0.294
Ca  0.137  0.594  0.255
Ca  0.863  0.406  0.745
Ca  0.438  0.675  0.154
Ca  0.562  0.325  0.846
Ca  0.214  0.364  0.284
Ca  0.786  0.636  0.716
Ca  0.063  0.824  0.218
Ca  0.937  0.176  0.782
Ca  0.236  0.307  0.495
Ca  0.764  0.693  0.505
Ca  0.899  0.307  0.169
Ca  0.101  0.693  0.831
Ca  0.658  0.012  0.065
Ca  0.342  0.988  0.935
Ca  0.531  0.382  0.415
Ca  0.469  0.618  0.585
Ca  0.981  0.070  0.180
Ca  0.019  0.930  0.820
Ca  0.142  0.642  0.052
Ca  0.858  0.358  0.948
Ca  0.358  0.923  0.145
Ca  0.642  0.077  0.855
Ca  0.041  0.893  0.021
Ca  0.959  0.107  0.979
Ca  0.150  0.543  0.459
Ca  0.850  0.457  0.541
Ca  0.282  0.171  0.097
Ca  0.718  0.829  0.903
Ca  0.806  0.544  0.125
Ca  0.194  0.456  0.875
Ca  0.096  0.731  0.627
Ca  0.904  0.269  0.373
Ca  0.307  0.036  0.474
Ca  0.693  0.964  0.526
Ca  0.262  0.220  0.904
Ca  0.738  0.780  0.096
Ca  0.620  0.163  0.454
Ca  0.380  0.837  0.546
Ca  0.967  0.024  0.402
Ca  0.033  0.976  0.598
Ca  0.500  0.500  0.000
Mo  0.272  0.014  0.737
Mo  0.728  0.986  0.263
Mo  0.471  0.602  0.384
Mo  0.529  0.398  0.616
Mo  0.280  0.120  0.284
Mo  0.720  0.880  0.716
Mo  0.591  0.243  0.069
Mo  0.409  0.757  0.931
Mo  0.022  0.742  0.407
Mo  0.978  0.258  0.593
Mo  0.127  0.382  0.055
Mo  0.873  0.618  0.945
N  0.730  0.023  0.383
N  0.270  0.977  0.617
N  0.718  0.325  0.395
N  0.282  0.675  0.605
N  0.210  0.797  0.411
N  0.790  0.203  0.589
N  0.794  0.127  0.225
N  0.206  0.873  0.775
N  0.053  0.293  0.936
N  0.947  0.707  0.064
N  0.717  0.200  0.006
N  0.283  0.800  0.994
N  0.029  0.422  0.311
N  0.971  0.578  0.689
N  0.401  0.059  0.328
N  0.599  0.941  0.672
N  0.356  0.483  0.431
N  0.644  0.517  0.569
N  0.453  0.250  0.531
N  0.547  0.750  0.469
N  0.630  0.614  0.153
N  0.370  0.386  0.847
N  0.158  0.153  0.356
N  0.842  0.847  0.644
N  0.486  0.103  0.097
N  0.514  0.897  0.903
N  0.058  0.147  0.553
N  0.942  0.853  0.447
N  0.286  0.502  0.049
N  0.714  0.498  0.951
N  0.690  0.357  0.177
N  0.310  0.643  0.823
N  0.152  0.044  0.958
N  0.848  0.956  0.042
N  0.379  0.441  0.642
N  0.621  0.559  0.358
N  0.142  0.088  0.753
N  0.858  0.912  0.247
N  0.441  0.113  0.808
N  0.559  0.887  0.192
N  0.462  0.297  0.023
N  0.538  0.703  0.977
N  0.375  0.600  0.279
N  0.625  0.400  0.721
N  0.039  0.372  0.528
N  0.961  0.628  0.472
N  0.178  0.010  0.174
N  0.822  0.990  0.826
N  0.060  0.334  0.714
N  0.940  0.666  0.286
N  0.114  0.269  0.123
N  0.886  0.731  0.877
N  0.383  0.263  0.258
N  0.617  0.737  0.742
N  0.010  0.459  0.094
N  0.990  0.541  0.906
O  0.238  0.757  0.193
O  0.762  0.243  0.807
O  0.500  0.000  0.500

Results
calculated density: 3.6 g/cm³
ΔE_f: -930 meV/atom
final energy: -786.44 eV/cell

=====

Here is crystalline LiV5O7F at its relaxed geometry from the Materials Project database. Energies are from GGA+U.

Lattice parameters (Å, degrees): 6.072 10.492 6.072 89.12 119.42 73.78
Fractional coordinates of all 28 atoms:
Li  0.763  0.376  0.861
Li  0.764  0.875  0.361
V  0.370  0.684  0.444
V  0.369  0.183  0.943
V  0.872  0.684  0.946
V  0.874  0.183  0.448
V  0.369  0.438  0.193
V  0.992  0.502  0.506
V  0.992  0.001  0.008
V  0.376  0.693  0.931
V  0.378  0.189  0.433
V  0.368  0.939  0.693
O  0.124  0.065  0.811
O  0.125  0.568  0.307
O  0.158  0.801  0.572
O  0.163  0.299  0.076
O  0.619  0.580  0.802
O  0.622  0.079  0.299
O  0.627  0.801  0.041
O  0.626  0.299  0.539
O  0.127  0.072  0.329
O  0.124  0.574  0.826
O  0.599  0.072  0.801
O  0.600  0.574  0.302
O  0.129  0.300  0.571
O  0.129  0.801  0.070
F  0.621  0.810  0.569
F  0.622  0.309  0.069

Results
calculated density: 4.1 g/cm³
ΔE_f: -2505 meV/atom
final energy: -210.37 eV/cell

=====

Here is crystalline LiMn2P2O9 at its relaxed geometry from the Materials Project database. Energies are from GGA+U.

Lattice parameters (Å, degrees): 6.301 7.531 13.900 90.00 90.00 90.00
Fractional coordinates of all 56 atoms:
Li  0.750  0.939  0.779
Li  0.750  0.561  0.279
Li  0.250  0.439  0.721
Li  0.250  0.061  0.221
Mn  0.750  0.353  0.878
Mn  0.250  0.647  0.122
Mn  0.250  0.853  0.622
Mn  0.750  0.147  0.378
Mn  0.500  0.000  0.000
Mn  0.500  0.500  0.500
Mn  0.000  0.500  0.500
Mn  0.000  0.000  0.000
P  0.250  0.366  0.933
P  0.750  0.634  0.067
P  0.750  0.866  0.567
P  0.250  0.134  0.433
P  0.750  0.394  0.693
P  0.750  0.106  0.193
P  0.250  0.894  0.807
P  0.250  0.606  0.307
O  0.045  0.595  0.368
O  0.545  0.405  0.632
O  0.955  0.095  0.132
O  0.455  0.905  0.868
O  0.955  0.405  0.632
O  0.455  0.595  0.368
O  0.045  0.905  0.868
O  0.545  0.095  0.132
O  0.250  0.315  0.485
O  0.750  0.685  0.515
O  0.750  0.815  0.015
O  0.250  0.185  0.985
O  0.750  0.130  0.948
O  0.250  0.870  0.052
O  0.250  0.630  0.552
O  0.750  0.370  0.448
O  0.750  0.220  0.756
O  0.250  0.780  0.244
O  0.250  0.720  0.744
O  0.750  0.280  0.256
O  0.441  0.126  0.363
O  0.941  0.874  0.637
O  0.559  0.626  0.137
O  0.059  0.374  0.863
O  0.559  0.874  0.637
O  0.059  0.126  0.363
O  0.441  0.374  0.863
O  0.941  0.626  0.137
O  0.750  0.478  0.997
O  0.250  0.036  0.725
O  0.250  0.464  0.225
O  0.750  0.536  0.775
O  0.750  0.022  0.497
O  0.250  0.978  0.503
O  0.250  0.522  0.003
O  0.750  0.964  0.275

Results
calculated density: 3.3 g/cm³
ΔE_f: -2382 meV/atom
final energy: -397.67 eV/cell

=====

Here is crystalline Sr3Co2Cu2S2O5 at its relaxed geometry from the Materials Project database. Energies are from GGA+U.

Lattice parameters (Å, degrees): 3.913 3.914 13.870 97.99 98.19 90.07
Fractional coordinates of all 14 atoms:
Sr  0.492  0.504  0.991
Sr  0.636  0.641  0.277
Sr  0.363  0.361  0.724
Co  0.055  0.083  0.136
Co  0.928  0.927  0.854
Cu  0.250  0.750  0.501
Cu  0.752  0.251  0.501
S  0.200  0.200  0.400
S  0.802  0.801  0.603
O  0.081  0.582  0.166
O  0.584  0.085  0.166
O  0.920  0.415  0.839
O  0.421  0.917  0.837
O  0.016  0.984  0.004

Results
calculated density: 5.2 g/cm³
ΔE_f: -1773 meV/atom
final energy: -77.60 eV/cell

=====

Here is crystalline Ba3MgTiWO9 at its relaxed geometry from the Materials Project database. Energies are from GGA+U.

Lattice parameters (Å, degrees): 5.871 5.871 14.416 90.00 90.00 120.00
Fractional coordinates of all 30 atoms:
Ba  0.667  0.333  0.593
Ba  0.333  0.667  0.402
Ba  0.333  0.667  0.093
Ba  0.667  0.333  0.902
Ba  0.000  0.000  0.754
Ba  0.000  0.000  0.254
Mg  0.000  0.000  0.498
Mg  0.000  0.000  0.998
Ti  0.667  0.333  0.358
Ti  0.333  0.667  0.858
W  0.333  0.667  0.657
W  0.667  0.333  0.157
O  0.483  0.967  0.746
O  0.483  0.517  0.746
O  0.033  0.517  0.746
O  0.517  0.033  0.246
O  0.517  0.483  0.246
O  0.967  0.483  0.246
O  0.173  0.346  0.586
O  0.173  0.827  0.586
O  0.654  0.827  0.586
O  0.829  0.657  0.415
O  0.829  0.171  0.415
O  0.343  0.171  0.415
O  0.827  0.654  0.086
O  0.827  0.173  0.086
O  0.346  0.173  0.086
O  0.171  0.343  0.915
O  0.171  0.829  0.915
O  0.657  0.829  0.915

Results
calculated density: 6.3 g/cm³
ΔE_f: -3129 meV/atom
final energy: -218.11 eV/cell

=====

Here is crystalline MgFe4Te2O12 at its relaxed geometry from the Materials Project database. Energies are from GGA+U.

Lattice parameters (Å, degrees): 5.307 5.305 9.008 90.00 90.00 76.35
Fractional coordinates of all 19 atoms:
Mg  0.810  0.811  0.500
Fe  0.090  0.090  0.316
Fe  0.496  0.497  0.841
Fe  0.090  0.090  0.684
Fe  0.496  0.497  0.159
Te  0.927  0.928  0.000
Te  0.474  0.474  0.500
O  0.640  0.641  0.652
O  0.326  0.326  0.663
O  0.640  0.641  0.348
O  0.179  0.804  0.156
O  0.804  0.181  0.156
O  0.804  0.181  0.844
O  0.353  0.353  0.000
O  0.183  0.791  0.500
O  0.791  0.184  0.500
O  0.179  0.804  0.844
O  0.326  0.325  0.337
O  0.698  0.701  0.000

Results
calculated density: 4.7 g/cm³
ΔE_f: -1620 meV/atom
final energy: -114.66 eV/cell